Record 1
The following is a DFT calculation (PBE with a Hubbard U) of WOF4 after structural relaxation.

Cell: 7.7518 10.6467 10.4284 Å, 90.00 111.62 90.00°
Positions (direct):
W1 0.0529 0.1425 0.4243
W2 0.0529 0.3575 0.9243
W3 0.3711 0.5911 0.6603
W4 0.3711 0.9089 0.1603
W5 0.6289 0.0911 0.8397
W6 0.6289 0.4089 0.3397
W7 0.9471 0.6425 0.0757
W8 0.9471 0.8575 0.5757
O1 0.0139 0.2077 0.2664
O2 0.0139 0.2923 0.7664
O3 0.4938 0.0406 0.2355
O4 0.4938 0.4594 0.7355
O5 0.5062 0.5406 0.2645
O6 0.5062 0.9594 0.7645
O7 0.9861 0.7077 0.2336
O8 0.9861 0.7923 0.7336
F1 0.0768 0.0203 0.6263
F2 0.0768 0.4797 0.1263
F3 0.1255 0.5509 0.6458
F4 0.1255 0.9491 0.1458
F5 0.1679 0.7002 0.0498
F6 0.1679 0.7998 0.5498
F7 0.1873 0.2345 0.0490
F8 0.1873 0.2655 0.5490
F9 0.2732 0.0534 0.4532
F10 0.2732 0.4466 0.9532
F11 0.2914 0.5562 0.4690
F12 0.2914 0.9438 0.9690
F13 0.3854 0.6895 0.8148
F14 0.3854 0.8105 0.3148
F15 0.4430 0.1950 0.8604
F16 0.4430 0.3050 0.3604
F17 0.5570 0.6950 0.6396
F18 0.5570 0.8050 0.1396
F19 0.6146 0.1895 0.6852
F20 0.6146 0.3105 0.1852
F21 0.7086 0.0562 0.0310
F22 0.7086 0.4438 0.5310
F23 0.7268 0.5534 0.0468
F24 0.7268 0.9466 0.5468
F25 0.8127 0.7345 0.4510
F26 0.8127 0.7655 0.9510
F27 0.8321 0.2002 0.4502
F28 0.8321 0.2998 0.9502
F29 0.8745 0.0509 0.8542
F30 0.8745 0.4491 0.3542
F31 0.9232 0.5203 0.8737
F32 0.9232 0.9797 0.3737

Calculated values
energy of formation from the pure elements = -2.623 eV/atom
offset from the most stable computed form = 0.059 eV/atom
MP2020-corrected energy = -330.43 eV/cell
ρ = 4.6 g/cm³

Record 2
The following is a DFT calculation (PBE with a Hubbard U) of WOF4 after structural relaxation.

Cell: 11.0789 5.1208 16.2476 Å, 90.00 116.38 90.00°
Positions (direct):
W1 0.0811 0.0750 0.4210
W2 0.0811 0.4250 0.9210
W3 0.4174 0.0160 0.8291
W4 0.4174 0.4840 0.3291
W5 0.5826 0.5160 0.6709
W6 0.5826 0.9840 0.1709
W7 0.9189 0.5750 0.0790
W8 0.9189 0.9250 0.5790
O1 0.1863 0.2119 0.9028
O2 0.1863 0.2881 0.4028
O3 0.3204 0.6988 0.3548
O4 0.3204 0.8012 0.8548
O5 0.6796 0.1988 0.1452
O6 0.6796 0.3012 0.6452
O7 0.8137 0.7119 0.5972
O8 0.8137 0.7881 0.0972
F1 0.0291 0.6624 0.8231
F2 0.0291 0.8376 0.3231
F3 0.0753 0.2079 0.5314
F4 0.0753 0.2921 0.0314
F5 0.0866 0.7438 0.1430
F6 0.0866 0.7562 0.6430
F7 0.2038 0.6742 0.9989
F8 0.2038 0.8258 0.4989
F9 0.2933 0.2361 0.2510
F10 0.2933 0.2639 0.7510
F11 0.4087 0.1294 0.1089
F12 0.4087 0.3706 0.6089
F13 0.4166 0.6367 0.2207
F14 0.4166 0.8633 0.7207
F15 0.4719 0.2343 0.4241
F16 0.4719 0.2657 0.9241
F17 0.5281 0.7343 0.0759
F18 0.5281 0.7657 0.5759
F19 0.5834 0.1367 0.2793
F20 0.5834 0.3633 0.7793
F21 0.5913 0.6294 0.3911
F22 0.5913 0.8706 0.8911
F23 0.7067 0.7361 0.2490
F24 0.7067 0.7639 0.7490
F25 0.7962 0.1742 0.5011
F26 0.7962 0.3258 0.0011
F27 0.9134 0.2438 0.3570
F28 0.9134 0.2562 0.8570
F29 0.9247 0.7079 0.9686
F30 0.9247 0.7921 0.4686
F31 0.9709 0.1624 0.6769
F32 0.9709 0.3376 0.1769

Calculated values
energy of formation from the pure elements = -2.622 eV/atom
offset from the most stable computed form = 0.060 eV/atom
MP2020-corrected energy = -330.39 eV/cell
ρ = 4.4 g/cm³